# ZrOF4 (GGA-PBE, relaxed)
# V: 15.8 Å³/atom
# E_tot: -6.011 eV per atom
# size of the total moment: 2.0 μB/f.u.
data_ZrOF4
_chemical_formula_sum 'Zr4 O4 F16'
_cell_length_a 8.091
_cell_length_b 8.091
_cell_length_c 8.091
_cell_angle_alpha 119.27
_cell_angle_beta 119.27
_cell_angle_gamma 91.27
_space_group_name_H-M_alt 'P 1'
_space_group_IT_number 1
_space_group_name_Hall 'P 1'
loop_
_atom_site_label
_atom_site_type_symbol
_atom_site_fract_x
_atom_site_fract_y
_atom_site_fract_z
Zr1 Zr 0.017 0.125 0.392
Zr2 Zr 0.375 0.983 0.108
Zr3 Zr 0.733 0.625 0.608
Zr4 Zr 0.875 0.267 0.892
O1 O 0.151 0.151 0.000
O2 O 0.599 0.099 0.500
O3 O 0.849 0.849 0.000
O4 O 0.901 0.401 0.500
F1 F 0.049 0.885 0.386
F2 F 0.058 0.775 0.840
F3 F 0.115 0.501 0.164
F4 F 0.225 0.065 0.283
F5 F 0.251 0.365 0.664
F6 F 0.337 0.951 0.836
F7 F 0.413 0.749 0.114
F8 F 0.499 0.663 0.614
F9 F 0.525 0.308 0.340
F10 F 0.635 0.299 0.886
F11 F 0.692 0.031 0.217
F12 F 0.701 0.587 0.336
F13 F 0.781 0.942 0.717
F14 F 0.815 0.475 0.783
F15 F 0.935 0.219 0.160
F16 F 0.969 0.185 0.660



# ZrO3F5 (GGA-PBE, relaxed)
# V: 15.3 Å³/atom
# E_tot: -5.501 eV per atom
# size of the total moment: 1.0 μB/f.u.
data_ZrO3F5
_chemical_formula_sum 'Zr4 O12 F20'
_cell_length_a 16.537
_cell_length_b 6.083
_cell_length_c 16.970
_cell_angle_alpha 75.55
_cell_angle_beta 20.87
_cell_angle_gamma 83.59
_space_group_name_H-M_alt 'P 1'
_space_group_IT_number 1
_space_group_name_Hall 'P 1'
loop_
_atom_site_label
_atom_site_type_symbol
_atom_site_fract_x
_atom_site_fract_y
_atom_site_fract_z
Zr1 Zr 0.187 0.813 0.316
Zr2 Zr 0.566 0.934 0.437
Zr3 Zr 0.813 0.187 0.684
Zr4 Zr 0.934 0.566 0.063
O1 O 0.292 0.474 0.558
O2 O 0.384 0.615 0.407
O3 O 0.474 0.292 0.676
O4 O 0.489 0.851 0.300
O5 O 0.574 0.692 0.776
O6 O 0.615 0.384 0.595
O7 O 0.655 0.843 0.635
O8 O 0.692 0.574 0.958
O9 O 0.843 0.655 0.866
O10 O 0.851 0.489 0.360
O11 O 0.890 0.950 0.399
O12 O 0.950 0.890 0.761
F1 F 0.016 0.422 0.111
F2 F 0.035 0.966 0.537
F3 F 0.139 0.799 0.234
F4 F 0.163 0.447 0.331
F5 F 0.191 0.919 0.803
F6 F 0.300 0.694 0.320
F7 F 0.306 0.574 0.707
F8 F 0.422 0.016 0.451
F9 F 0.447 0.163 0.059
F10 F 0.543 0.838 0.944
F11 F 0.564 0.930 0.556
F12 F 0.574 0.306 0.412
F13 F 0.694 0.300 0.686
F14 F 0.713 0.788 0.215
F15 F 0.788 0.713 0.284
F16 F 0.799 0.139 0.828
F17 F 0.838 0.543 0.676
F18 F 0.919 0.191 0.087
F19 F 0.930 0.564 0.950
F20 F 0.966 0.035 0.462